PBE with a Hubbard U Li5V3P8O29, relaxed; space-group type = P1
1.0
9.7707 0.0000 0.0000
-4.8476 8.4958 0.0000
-0.0307 -0.0803 14.0166
Li V P O
10 6 16 58
Cartesian
2.1917 7.6687 7.8863 Li
0.1271 5.6097 12.4329 Li
-0.7023 2.7551 0.8346 Li
-2.1784 7.7504 0.8517 Li
7.8598 1.8635 6.1800 Li
-2.8528 6.5179 7.8566 Li
5.4961 5.5464 13.1995 Li
4.2352 5.7213 6.1484 Li
2.6570 0.7520 6.2359 Li
9.2708 -0.0595 13.8813 Li
-2.0947 3.6397 3.5292 V
6.9835 4.7546 10.4603 V
5.5342 -0.0276 10.6179 V
4.2512 -0.0041 3.4685 V
2.7361 4.7899 3.4112 V
2.1270 3.5514 10.4898 V
2.9599 6.5340 11.7957 P
2.2243 7.7131 4.7818 P
0.7399 2.6646 4.8403 P
-0.0137 5.6268 1.7669 P
0.0443 5.6448 8.8303 P
-0.6545 2.6209 11.7929 P
7.7815 1.8880 9.2263 P
-2.2354 7.6353 11.8277 P
7.1831 0.7018 2.1996 P
-2.8500 6.5119 4.7824 P
5.5859 5.7913 2.2353 P
4.8726 2.8283 5.1713 P
4.8584 2.8083 12.2350 P
4.1482 5.7412 9.1817 P
2.6736 0.6609 9.2663 P
1.9021 1.9026 2.2067 P
3.6654 6.3674 7.9038 O
2.8488 6.2948 4.7417 O
7.8093 0.0440 1.0398 O
1.9718 7.7115 11.8153 O
2.1385 5.2210 11.6985 O
1.4459 5.6704 2.4194 O
1.4263 4.0284 4.5137 O
0.9928 1.8628 1.0322 O
0.8856 2.8339 11.6765 O
0.7802 6.9075 9.4220 O
0.7046 7.6208 4.4861 O
0.7599 4.4132 9.5368 O
0.0616 5.6014 0.2709 O
0.1165 5.6161 7.3481 O
-0.6623 4.3137 2.2919 O
-0.6995 7.4792 11.6455 O
-0.7976 6.8717 2.2835 O
-0.8003 2.8361 4.8113 O
-1.0159 1.7262 10.5074 O
8.5264 2.0085 7.9573 O
-0.9817 1.8738 13.0446 O
-1.3107 4.0133 11.6378 O
-1.4570 5.6667 9.3402 O
7.7066 2.1761 2.3165 O
-2.0114 5.2429 4.5009 O
-1.9563 7.7702 4.7853 O
7.7416 0.0230 3.5769 O
2.5171 8.4283 6.0695 O
-2.5436 8.4287 8.0085 O
6.8749 0.6448 9.2955 O
6.9456 3.1733 9.5461 O
-2.8565 6.2060 11.7204 O
6.3624 2.7656 4.6570 O
6.3099 4.4623 2.4083 O
5.9621 6.5480 0.9890 O
-3.6665 6.3773 6.0367 O
-3.8397 6.7165 3.5209 O
5.6941 5.6075 9.1998 O
5.5838 1.5454 11.6434 O
5.6509 0.6773 2.3210 O
5.5657 4.0895 11.6838 O
4.7381 2.8472 13.7084 O
4.8158 2.8963 6.6583 O
4.1732 4.1012 4.5273 O
4.1823 0.7289 9.4931 O
4.1234 1.5588 4.6034 O
4.0466 5.5848 2.3266 O
3.7730 6.7094 10.3953 O
3.9591 6.6376 12.9043 O
3.4854 4.3859 9.4808 O
3.4269 2.7920 11.5230 O
2.7054 3.2357 2.3868 O
2.8985 0.7111 2.2348 O
-2.6745 8.2843 13.0896 O
-2.8292 8.4005 10.5373 O
2.0658 2.0916 9.3141 O
1.2542 1.9819 6.0448 O
1.0379 1.7362 3.5441 O


PBE with a Hubbard U Li2VPO5, relaxed; space-group type = Pna2_1
1.0
-6.6385 0.0000 -0.0002
0.0000 -6.6554 0.0000
0.0000 -0.0001 8.2564
Li V P O
8 4 4 20
Cartesian
-0.0613 -3.1650 0.1462 Li
-0.0555 -3.1744 4.2465 Li
-6.4492 -6.5030 4.0098 Li
-6.4431 -6.4940 8.1107 Li
-3.3848 -6.4905 3.9787 Li
-3.3782 -6.5008 8.1353 Li
-3.1272 -3.1714 0.1216 Li
-3.1231 -3.1635 4.2765 Li
-4.9216 -4.9731 5.6792 V
-1.5843 -1.6444 2.5784 V
-4.9044 -4.9723 1.5501 V
-1.6012 -1.6447 6.7065 V
-4.9042 -1.6394 2.0686 P
-4.9202 -1.6396 6.1968 P
-1.5856 -4.9669 2.0590 P
-1.6013 -4.9673 6.1873 P
-4.9024 -0.3769 1.1747 O
-4.9240 -0.3770 5.3030 O
-1.5830 -3.7042 2.9530 O
-1.6042 -3.7046 7.0811 O
-4.9076 -5.0906 3.4499 O
-4.9190 -5.0914 7.5787 O
-1.5869 -1.7633 0.6780 O
-1.5976 -1.7626 4.8066 O
-4.9053 -2.9175 1.1908 O
-4.9179 -2.9179 5.3191 O
-1.5876 -6.2452 2.9368 O
-1.5989 -6.2455 7.0652 O
-6.1762 -1.6316 2.9547 O
-6.1880 -1.6266 7.0874 O
-3.6359 -1.6250 2.9589 O
-3.6479 -1.6302 7.0824 O
-2.8577 -4.9585 1.1729 O
-2.8701 -4.9543 5.2975 O
-0.3173 -4.9535 1.1690 O
-0.3293 -4.9587 5.3011 O


Energy above the most stable polymorph in this dataset, respectively: 0.14; 0.00 eV per formula unit.
Formation energy from the elements, respectively: -2.618; -2.627 eV per atom.